Computed, not measured: a relaxed Mg3Ir crystal at the PBE level of DFT.

* E_form: -0.33 eV per atom
* symmetry: P6_3/mmc (194)

Cell: 4.5774 4.5774 8.3036 Å, 90.00 90.00 120.00°
Closest atoms and distances in Å follow each position.
Sites, in units of the cell vectors:
Mg 0.0000 0.0000 0.2500  3 Ir 2.64
Mg 0.0000 0.0000 0.7500  3 Ir 2.64
Mg 0.3333 0.6667 0.0780  4 Ir 2.72-3.00, 7 Mg 2.86-3.00
Mg 0.3333 0.6667 0.4220  4 Ir 2.72-3.00, 7 Mg 2.86-3.00
Mg 0.6667 0.3333 0.5780  4 Ir 2.72-3.00, 7 Mg 2.86-3.00
Mg 0.6667 0.3333 0.9220  4 Ir 2.72-3.00, 7 Mg 2.86-3.00
Ir 0.3333 0.6667 0.7500  5 Mg 2.64-2.72
Ir 0.6667 0.3333 0.2500  5 Mg 2.64-2.72